[1]
{"formula": "Li5TiMn9O20", "functional": "PBE with a Hubbard U", "state": "optimized geometry", "lattice": [[5.792, 0.000, 0.000], [-2.895, 5.024, 0.000], [-0.024, -3.294, 23.670]], "species": ["Li", "Li", "Li", "Li", "Li", "Li", "Li", "Li", "Li", "Li", "Ti", "Ti", "Mn", "Mn", "Mn", "Mn", "Mn", "Mn", "Mn", "Mn", "Mn", "Mn", "Mn", "Mn", "Mn", "Mn", "Mn", "Mn", "Mn", "Mn", "O", "O", "O", "O", "O", "O", "O", "O", "O", "O", "O", "O", "O", "O", "O", "O", "O", "O", "O", "O", "O", "O", "O", "O", "O", "O", "O", "O", "O", "O", "O", "O", "O", "O", "O", "O", "O", "O", "O", "O"], "frac_coords": [[0.000, 0.000, 0.000], [0.046, 0.099, 0.148], [0.193, 0.391, 0.600], [0.246, 0.493, 0.748], [0.400, 0.806, 0.199], [0.453, 0.906, 0.348], [0.596, 0.195, 0.800], [0.648, 0.296, 0.948], [0.797, 0.596, 0.398], [0.850, 0.703, 0.549], [0.324, 0.649, 0.474], [0.325, 0.649, 0.974], [0.021, 0.548, 0.075], [0.121, 0.245, 0.873], [0.121, 0.746, 0.873], [0.122, 0.247, 0.373], [0.220, 0.942, 0.674], [0.323, 0.149, 0.474], [0.425, 0.355, 0.274], [0.523, 0.050, 0.574], [0.523, 0.051, 0.075], [0.523, 0.548, 0.075], [0.623, 0.747, 0.873], [0.719, 0.942, 0.673], [0.720, 0.443, 0.674], [0.723, 0.452, 0.174], [0.823, 0.149, 0.474], [0.921, 0.844, 0.773], [0.926, 0.355, 0.274], [0.926, 0.855, 0.273], [0.002, 0.460, 0.920], [0.041, 0.638, 0.226], [0.051, 0.105, 0.721], [0.051, 0.659, 0.721], [0.078, 0.160, 0.232], [0.168, 0.339, 0.517], [0.188, 0.380, 0.028], [0.189, 0.836, 0.028], [0.205, 0.869, 0.522], [0.235, 0.029, 0.826], [0.256, 0.516, 0.321], [0.257, 0.070, 0.321], [0.274, 0.552, 0.832], [0.370, 0.743, 0.117], [0.389, 0.229, 0.627], [0.389, 0.782, 0.626], [0.408, 0.266, 0.122], [0.441, 0.430, 0.425], [0.456, 0.459, 0.920], [0.456, 0.915, 0.920], [0.478, 0.960, 0.430], [0.567, 0.136, 0.716], [0.593, 0.638, 0.226], [0.594, 0.192, 0.227], [0.604, 0.659, 0.721], [0.645, 0.837, 0.028], [0.654, 0.312, 0.521], [0.661, 0.870, 0.522], [0.675, 0.354, 0.032], [0.774, 0.551, 0.316], [0.789, 0.583, 0.826], [0.790, 0.029, 0.826], [0.809, 0.069, 0.320], [0.835, 0.228, 0.627], [0.853, 0.266, 0.122], [0.854, 0.712, 0.122], [0.872, 0.747, 0.632], [0.969, 0.941, 0.916], [0.986, 0.429, 0.425], [0.991, 0.986, 0.426]], "m_tot_mub_per_cell": 64.0, "e_above_lowest_polymorph_mev_per_atom": 74.9, "formation_energy_ev_per_atom": -2.114, "sg": "No. 1", "energy_ry_per_atom": -0.51261}

=====

[2]
{"formula": "Li3Ti2Mn5O12", "functional": "PBE with a Hubbard U", "state": "optimized geometry", "lattice": [[5.142, 0.000, 0.000], [-2.490, 4.634, 0.000], [-0.583, -0.518, 29.804]], "species": ["Li", "Li", "Li", "Li", "Li", "Li", "Li", "Li", "Li", "Ti", "Ti", "Ti", "Ti", "Ti", "Ti", "Mn", "Mn", "Mn", "Mn", "Mn", "Mn", "Mn", "Mn", "Mn", "Mn", "Mn", "Mn", "Mn", "Mn", "Mn", "O", "O", "O", "O", "O", "O", "O", "O", "O", "O", "O", "O", "O", "O", "O", "O", "O", "O", "O", "O", "O", "O", "O", "O", "O", "O", "O", "O", "O", "O", "O", "O", "O", "O", "O", "O"], "frac_coords": [[0.000, 0.000, 0.000], [0.000, 0.318, 0.412], [0.005, 0.331, 0.920], [0.316, 0.323, 0.079], [0.335, 0.006, 0.667], [0.345, 0.333, 0.586], [0.651, 0.992, 0.334], [0.670, 0.327, 0.746], [0.993, 0.007, 0.254], [0.010, 0.658, 0.835], [0.322, 0.671, 0.998], [0.350, 0.658, 0.502], [0.659, 0.670, 0.665], [0.696, 0.680, 0.168], [0.973, 0.655, 0.331], [0.017, 0.339, 0.166], [0.017, 0.681, 0.587], [0.018, 0.997, 0.499], [0.316, 0.313, 0.335], [0.333, 0.323, 0.832], [0.333, 0.681, 0.747], [0.345, 0.681, 0.253], [0.359, 0.016, 0.165], [0.647, 0.314, 0.001], [0.662, 0.677, 0.414], [0.674, 0.322, 0.498], [0.677, 0.999, 0.832], [0.681, 0.678, 0.920], [0.985, 0.314, 0.667], [0.996, 0.673, 0.080], [0.001, 0.634, 0.961], [0.007, 0.692, 0.205], [0.008, 0.379, 0.039], [0.016, 0.391, 0.791], [0.022, 0.681, 0.465], [0.025, 0.352, 0.297], [0.054, 0.345, 0.534], [0.293, 0.977, 0.300], [0.294, 0.610, 0.370], [0.298, 0.960, 0.040], [0.320, 0.978, 0.536], [0.322, 0.662, 0.871], [0.327, 0.629, 0.130], [0.331, 0.627, 0.628], [0.345, 0.378, 0.705], [0.352, 0.365, 0.963], [0.352, 0.377, 0.202], [0.352, 0.981, 0.795], [0.362, 0.396, 0.457], [0.623, 0.604, 0.037], [0.641, 0.969, 0.705], [0.652, 0.985, 0.967], [0.661, 0.659, 0.538], [0.671, 0.372, 0.372], [0.681, 0.681, 0.798], [0.682, 0.670, 0.294], [0.691, 0.366, 0.629], [0.692, 0.978, 0.462], [0.708, 0.006, 0.201], [0.711, 0.376, 0.129], [0.714, 0.350, 0.869], [0.959, 0.953, 0.374], [0.963, 0.611, 0.703], [0.979, 0.980, 0.870], [0.985, 0.985, 0.633], [0.986, 0.959, 0.125]], "m_tot_mub_per_cell": 66.0, "formation_energy_ev_per_atom": -2.446, "sg": "No. 1", "energy_ry_per_atom": -0.54767}

=====

[3]
{"formula": "Li5TiMn9O20", "functional": "PBE with a Hubbard U", "state": "optimized geometry", "lattice": [[5.877, 0.000, 0.000], [2.838, 5.232, 0.000], [2.361, 0.968, 24.307]], "species": ["Li", "Li", "Li", "Li", "Li", "Li", "Li", "Li", "Li", "Li", "Ti", "Ti", "Mn", "Mn", "Mn", "Mn", "Mn", "Mn", "Mn", "Mn", "Mn", "Mn", "Mn", "Mn", "Mn", "Mn", "Mn", "Mn", "Mn", "Mn", "O", "O", "O", "O", "O", "O", "O", "O", "O", "O", "O", "O", "O", "O", "O", "O", "O", "O", "O", "O", "O", "O", "O", "O", "O", "O", "O", "O", "O", "O", "O", "O", "O", "O", "O", "O", "O", "O", "O", "O"], "frac_coords": [[0.000, 0.000, 0.000], [0.036, 0.077, 0.848], [0.206, 0.212, 0.398], [0.249, 0.252, 0.253], [0.373, 0.424, 0.801], [0.446, 0.455, 0.652], [0.597, 0.623, 0.198], [0.649, 0.656, 0.051], [0.793, 0.818, 0.600], [0.836, 0.858, 0.452], [0.334, 0.316, 0.022], [0.820, 0.330, 0.526], [0.016, 0.542, 0.924], [0.118, 0.143, 0.125], [0.122, 0.640, 0.124], [0.129, 0.132, 0.626], [0.227, 0.732, 0.325], [0.320, 0.836, 0.525], [0.321, 0.334, 0.525], [0.409, 0.940, 0.726], [0.518, 0.540, 0.925], [0.519, 0.037, 0.924], [0.519, 0.536, 0.425], [0.621, 0.144, 0.125], [0.693, 0.761, 0.825], [0.728, 0.233, 0.325], [0.730, 0.729, 0.325], [0.906, 0.442, 0.727], [0.909, 0.944, 0.725], [0.922, 0.937, 0.225], [0.009, 0.624, 0.774], [0.012, 0.458, 0.078], [0.051, 0.065, 0.279], [0.059, 0.603, 0.282], [0.075, 0.085, 0.767], [0.146, 0.216, 0.480], [0.195, 0.639, 0.976], [0.197, 0.657, 0.481], [0.205, 0.174, 0.975], [0.232, 0.824, 0.170], [0.259, 0.816, 0.677], [0.266, 0.252, 0.679], [0.291, 0.268, 0.168], [0.360, 0.387, 0.884], [0.389, 0.895, 0.875], [0.399, 0.857, 0.368], [0.404, 0.400, 0.371], [0.450, 0.011, 0.566], [0.450, 0.019, 0.079], [0.459, 0.460, 0.079], [0.491, 0.459, 0.570], [0.551, 0.634, 0.775], [0.561, 0.062, 0.776], [0.607, 0.555, 0.281], [0.613, 0.052, 0.279], [0.645, 0.181, 0.976], [0.647, 0.664, 0.478], [0.648, 0.212, 0.480], [0.677, 0.689, 0.966], [0.745, 0.798, 0.684], [0.783, 0.822, 0.169], [0.789, 0.270, 0.683], [0.789, 0.273, 0.167], [0.827, 0.901, 0.875], [0.834, 0.446, 0.874], [0.846, 0.410, 0.369], [0.848, 0.910, 0.369], [0.950, 0.015, 0.081], [0.993, 0.006, 0.572], [0.998, 0.452, 0.573]], "m_tot_mub_per_cell": 64.0, "e_above_lowest_polymorph_mev_per_atom": 0.0, "formation_energy_ev_per_atom": -2.189, "sg": "No. 1", "energy_ry_per_atom": -0.51811}

=====

[4]
{"formula": "Li5Ti2Mn3O10", "functional": "PBE with a Hubbard U", "state": "optimized geometry", "lattice": [[-2.058, 3.996, -2.693], [1.036, 7.552, 7.330], [7.536, 2.249, 0.542]], "species": ["Li", "Li", "Li", "Li", "Li", "Li", "Li", "Li", "Li", "Li", "Ti", "Ti", "Ti", "Ti", "Mn", "Mn", "Mn", "Mn", "Mn", "Mn", "O", "O", "O", "O", "O", "O", "O", "O", "O", "O", "O", "O", "O", "O", "O", "O", "O", "O", "O", "O"], "frac_coords": [[0.772, 0.447, 0.952], [0.272, 0.947, 0.452], [0.744, 0.648, 0.136], [0.244, 0.148, 0.636], [0.756, 0.748, 0.758], [0.256, 0.248, 0.258], [0.231, 0.552, 0.051], [0.731, 0.052, 0.551], [0.255, 0.353, 0.869], [0.755, 0.853, 0.369], [0.740, 0.359, 0.329], [0.240, 0.859, 0.829], [0.260, 0.642, 0.674], [0.760, 0.142, 0.173], [0.247, 0.750, 0.250], [0.743, 0.946, 0.953], [0.755, 0.555, 0.550], [0.747, 0.250, 0.750], [0.243, 0.446, 0.453], [0.255, 0.055, 0.050], [0.518, 0.534, 0.299], [0.018, 0.033, 0.799], [0.472, 0.664, 0.878], [0.972, 0.164, 0.378], [0.472, 0.842, 0.092], [0.972, 0.342, 0.592], [0.970, 0.248, 0.986], [0.470, 0.747, 0.486], [0.981, 0.444, 0.209], [0.481, 0.944, 0.709], [0.019, 0.556, 0.793], [0.519, 0.056, 0.293], [0.026, 0.752, 0.015], [0.526, 0.252, 0.515], [0.525, 0.158, 0.909], [0.025, 0.658, 0.409], [0.528, 0.335, 0.124], [0.028, 0.835, 0.624], [0.481, 0.466, 0.703], [0.981, 0.966, 0.203]], "m_tot_mub_per_cell": 0.0, "e_above_lowest_polymorph_mev_per_atom": 0.0, "formation_energy_ev_per_atom": -2.598, "energy_ry_per_atom": -0.52326}

=====

[5]
{"formula": "Li2Ti2Mn5O12", "functional": "PBE with a Hubbard U", "state": "optimized geometry", "lattice": [[5.091, 0.000, 0.000], [0.000, 9.113, 0.000], [-2.108, 0.000, 10.146]], "species": ["Li", "Li", "Li", "Li", "Ti", "Ti", "Ti", "Ti", "Mn", "Mn", "Mn", "Mn", "Mn", "Mn", "Mn", "Mn", "Mn", "Mn", "O", "O", "O", "O", "O", "O", "O", "O", "O", "O", "O", "O", "O", "O", "O", "O", "O", "O", "O", "O", "O", "O", "O", "O"], "frac_coords": [[0.004, 0.000, 0.266], [0.245, 0.159, 0.504], [0.755, 0.659, 0.496], [0.996, 0.500, 0.734], [0.258, 0.333, 0.007], [0.262, 0.834, 0.508], [0.738, 0.334, 0.492], [0.742, 0.833, 0.993], [0.006, 0.339, 0.261], [0.252, 0.000, 0.010], [0.255, 0.509, 0.504], [0.255, 0.664, 0.997], [0.495, 0.307, 0.736], [0.505, 0.807, 0.264], [0.745, 0.009, 0.496], [0.745, 0.164, 0.003], [0.748, 0.500, 0.990], [0.994, 0.839, 0.739], [0.099, 0.186, 0.112], [0.099, 0.986, 0.604], [0.116, 0.498, 0.096], [0.124, 0.847, 0.113], [0.125, 0.358, 0.610], [0.132, 0.672, 0.608], [0.364, 0.674, 0.403], [0.378, 0.164, 0.905], [0.378, 0.358, 0.395], [0.379, 0.473, 0.889], [0.381, 0.981, 0.389], [0.383, 0.821, 0.893], [0.617, 0.321, 0.107], [0.619, 0.481, 0.611], [0.621, 0.973, 0.111], [0.622, 0.664, 0.095], [0.622, 0.858, 0.605], [0.636, 0.174, 0.597], [0.868, 0.172, 0.392], [0.875, 0.858, 0.390], [0.876, 0.347, 0.887], [0.884, 0.998, 0.904], [0.901, 0.486, 0.396], [0.901, 0.686, 0.888]], "m_tot_mub_per_cell": 42.0, "formation_energy_ev_per_atom": -2.425, "sg": "No. 4", "energy_ry_per_atom": -0.55695}

=====

[6]
{"formula": "Li4Ti2Mn3O10", "functional": "PBE with a Hubbard U", "state": "optimized geometry", "lattice": [[6.627, 0.000, 0.000], [0.122, 8.021, 0.000], [3.195, 1.109, 7.351]], "species": ["Li", "Li", "Li", "Li", "Li", "Li", "Li", "Li", "Ti", "Ti", "Ti", "Ti", "Mn", "Mn", "Mn", "Mn", "Mn", "Mn", "O", "O", "O", "O", "O", "O", "O", "O", "O", "O", "O", "O", "O", "O", "O", "O", "O", "O", "O", "O"], "frac_coords": [[0.098, 0.208, 0.231], [0.191, 0.907, 0.404], [0.250, 0.257, 0.515], [0.317, 0.573, 0.601], [0.683, 0.427, 0.399], [0.750, 0.743, 0.485], [0.809, 0.093, 0.596], [0.902, 0.792, 0.769], [0.166, 0.567, 0.320], [0.345, 0.946, 0.682], [0.655, 0.054, 0.318], [0.834, 0.433, 0.680], [0.000, 0.500, 0.000], [0.036, 0.848, 0.108], [0.460, 0.645, 0.888], [0.500, 0.000, 0.000], [0.540, 0.355, 0.112], [0.964, 0.152, 0.892], [0.027, 0.652, 0.542], [0.089, 0.372, 0.763], [0.090, 0.012, 0.652], [0.205, 0.722, 0.836], [0.213, 0.049, 0.937], [0.283, 0.446, 0.073], [0.289, 0.780, 0.165], [0.400, 0.133, 0.234], [0.403, 0.474, 0.356], [0.474, 0.854, 0.462], [0.526, 0.146, 0.538], [0.597, 0.526, 0.644], [0.600, 0.867, 0.766], [0.711, 0.220, 0.835], [0.717, 0.554, 0.927], [0.787, 0.951, 0.063], [0.795, 0.278, 0.164], [0.910, 0.988, 0.348], [0.911, 0.628, 0.237], [0.973, 0.348, 0.458]], "e_above_lowest_polymorph_mev_per_atom": 6.1, "formation_energy_ev_per_atom": -2.591, "sg": "No. 2", "energy_ry_per_atom": -0.53285}